The following is a DFT calculation (PBE) of crystalline Na14Zn5Ge3P12O48 at its relaxed geometry.

```
Na14Zn5Ge3P12O48
1.0
17.791 0.015 0.011
-4.441 7.703 -0.005
0.014 -0.006 21.765
Na Zn Ge P O
42 15 9 36 144
Cartesian
1.698 2.782 5.391
10.605 2.806 5.390
14.887 4.861 5.399
6.003 4.847 5.381
2.891 4.841 16.270
11.800 4.847 16.281
3.251 0.095 16.272
12.143 0.101 16.272
1.276 2.647 12.609
10.171 2.656 12.613
-2.774 5.273 12.616
6.121 5.279 12.621
1.535 7.471 12.602
10.431 7.478 12.612
-1.541 7.450 1.725
7.365 7.454 1.782
2.793 5.276 1.732
-1.237 2.668 1.766
7.670 2.663 1.717
5.611 5.170 19.964
14.546 5.214 19.908
6.138 0.314 19.965
1.665 2.230 19.971
10.504 2.289 19.912
7.249 2.252 9.089
16.145 2.259 9.089
2.782 0.308 9.084
11.680 0.316 9.094
3.342 5.141 9.092
12.238 5.150 9.091
17.792 0.014 10.804
8.896 0.007 10.801
13.166 7.633 21.673
8.902 0.010 21.689
4.584 2.577 18.084
13.548 2.504 18.051
4.505 2.460 7.203
13.406 2.473 7.214
0.045 5.227 3.583
9.073 5.252 3.524
-0.044 5.055 14.460
8.848 5.057 14.470
17.775 0.018 7.577
8.881 0.011 7.582
17.729 0.019 18.526
8.893 0.019 18.463
4.520 2.572 14.857
13.412 2.579 14.854
4.472 2.514 3.973
13.367 2.538 4.003
4.474 2.562 21.467
4.471 2.566 10.580
13.367 2.574 10.584
-0.004 5.131 0.336
8.972 5.155 0.370
0.014 5.140 11.213
8.909 5.148 11.219
17.785 0.030 14.203
8.898 0.027 14.202
13.283 7.676 3.259
4.451 7.700 3.299
13.393 2.546 21.389
0.025 5.176 6.837
8.926 5.188 6.840
-0.049 5.075 17.742
8.938 5.142 17.758
-1.814 7.651 5.459
7.097 7.667 5.488
3.081 5.476 5.481
11.979 5.502 5.479
-1.283 2.290 5.479
7.623 2.302 5.480
1.245 2.290 16.388
10.158 2.318 16.373
-3.078 5.438 16.372
5.831 5.451 16.385
1.827 7.664 16.376
10.742 7.677 16.376
7.137 2.511 12.736
16.032 2.519 12.741
3.052 0.282 12.772
11.948 0.288 12.774
3.175 4.922 12.773
12.070 4.929 12.776
5.737 4.925 1.890
14.563 4.883 1.854
5.847 0.284 1.852
14.685 0.346 1.847
1.764 2.490 1.889
10.741 2.548 1.871
2.591 5.118 19.924
11.532 5.097 19.981
-1.342 2.878 20.005
7.615 2.935 19.951
-1.264 7.377 19.918
7.692 7.425 19.992
1.293 7.374 9.058
10.189 7.383 9.064
1.310 2.906 9.036
10.205 2.915 9.041
-2.567 5.125 9.033
6.331 5.131 9.035
1.805 0.168 6.727
10.701 0.176 6.746
3.714 6.063 6.727
12.604 6.062 6.745
7.874 1.522 6.752
16.762 1.536 6.769
1.055 1.442 17.628
9.960 1.472 17.619
5.221 6.058 17.644
14.128 6.079 17.636
7.069 0.134 17.655
16.026 0.160 17.598
2.785 7.404 15.123
11.637 7.388 15.082
0.611 1.617 15.098
9.520 1.633 15.094
-3.301 6.404 15.115
5.598 6.420 15.130
3.358 6.368 4.199
12.244 6.432 4.226
-0.585 1.600 4.222
8.343 1.618 4.218
-2.763 7.349 4.204
6.142 7.382 4.227
6.221 2.789 13.911
15.118 2.797 13.918
3.684 0.914 14.009
12.579 0.921 14.011
3.393 4.048 14.005
12.288 4.057 14.009
5.484 4.068 3.124
14.374 4.039 3.099
5.154 0.937 3.027
14.029 0.956 3.063
2.626 2.744 3.120
11.547 2.719 3.140
2.591 2.196 0.614
11.673 2.254 0.596
5.055 4.372 0.613
13.947 4.203 0.555
5.737 1.116 0.549
14.515 1.334 0.588
3.206 1.146 11.499
12.101 1.153 11.502
3.852 4.364 11.498
12.746 4.369 11.502
6.358 2.184 11.438
15.254 2.192 11.443
1.774 5.330 21.197
10.679 5.276 21.193
-0.753 3.467 21.283
8.192 3.510 21.240
-1.040 6.550 21.184
7.876 6.581 21.238
1.089 6.579 10.351
9.984 6.586 10.356
0.720 3.513 10.309
9.615 3.521 10.314
-1.748 5.339 10.308
7.148 5.347 10.311
-1.631 4.906 7.752
7.268 4.914 7.755
0.597 6.651 7.824
9.492 6.662 7.829
1.026 3.827 7.757
9.922 3.834 7.760
-1.144 3.864 18.769
7.913 3.918 18.723
-0.613 6.656 18.639
8.332 6.777 18.689
1.628 4.889 18.657
10.661 4.815 18.663
-3.461 6.374 8.932
5.434 6.380 8.935
2.820 7.520 8.936
11.716 7.529 8.943
0.678 1.505 8.940
9.571 1.514 8.948
-0.706 1.512 19.831
8.248 1.535 19.817
-2.789 7.546 19.815
6.168 7.625 19.844
3.494 6.366 19.822
12.514 6.251 19.841
8.012 1.182 12.920
16.909 1.191 12.924
1.463 0.176 12.913
10.358 0.181 12.915
3.884 6.350 12.921
12.784 6.355 12.919
5.032 6.362 2.018
13.884 6.313 1.933
7.445 0.200 2.023
16.268 0.303 1.957
0.884 1.155 2.029
9.882 1.192 1.932
5.307 1.132 16.219
14.195 1.122 16.214
2.757 2.509 16.221
11.676 2.506 16.222
5.200 4.079 16.203
14.085 4.079 16.214
3.665 4.062 5.329
12.566 4.093 5.315
6.130 2.549 5.320
15.015 2.571 5.346
3.505 1.179 5.297
12.409 1.195 5.330
3.445 3.833 19.926
12.393 3.730 20.057
6.076 2.832 19.940
14.859 2.853 20.091
3.882 1.046 19.922
12.802 1.163 20.086
5.048 1.053 9.072
13.943 1.062 9.079
2.851 2.811 9.045
11.746 2.819 9.051
5.479 3.845 9.047
14.372 3.853 9.055
0.825 3.707 1.776
9.761 3.700 1.717
-1.705 5.087 1.700
7.256 5.125 1.786
0.841 6.553 1.754
9.641 6.669 1.656
-0.810 6.562 12.660
8.086 6.569 12.664
1.654 5.131 12.663
10.549 5.138 12.668
-0.802 3.706 12.630
8.093 3.713 12.636
-0.979 6.300 5.521
7.918 6.311 5.528
1.505 5.348 5.538
10.403 5.364 5.539
-0.530 3.709 5.492
8.370 3.718 5.496
0.548 3.717 16.457
9.485 3.747 16.432
-1.489 5.386 16.419
7.416 5.428 16.450
0.977 6.311 16.391
9.883 6.310 16.441
```

Output
Energy   -508.5 eV/f.u.
Corrected total energy (MP2020 scheme)   -1624.4 eV/cell
Energy of formation   -2443.1 meV/atom